Crystalline FeSCl7 at its relaxed geometry, computed with PBE.

Calculated values
Mass density (Mg/m³): 2.1
Relative energy among the computed polymorphs (eV/atom): 0.054

abc: 7.126 12.599 12.172
angles: 90.00 107.63 90.00
Space group P2_1/c (No. 14)
Asymmetric unit:
1 Fe 0.136 0.024 0.160 [4 per cell]
2 S 0.458 0.746 0.045 [4 per cell]
3 Cl 0.014 0.011 0.706 [4 per cell]
4 Cl 0.105 0.099 0.972 [4 per cell]
5 Cl 0.247 0.189 0.235 [4 per cell]
6 Cl 0.254 0.660 0.089 [4 per cell]
7 Cl 0.294 0.673 0.403 [4 per cell]
8 Cl 0.408 0.571 0.691 [4 per cell]
9 Cl 0.416 0.137 0.530 [4 per cell]